Below is crystalline Ho2TiGe2 at its relaxed geometry, with properties calculated at the PBE-GGA level.

```
5
Lattice="-2.527 -0.594 1.505 -0.181 -2.669 -1.359 7.653 -5.879 10.528" Properties=species:S:1:pos:R:3 pbc="T T T"
Ho 3.408 -5.290 6.624
Ho 1.536 -3.853 4.050
Ge 4.945 -6.471 8.739
Ge -0.001 -2.672 1.935
Ti -1.354 -1.632 0.073
```

## Properties
As for the crystal system: tetragonal. The value obtained for the total energy is -4.674 eV/atom. Its formation energy from the elements is 0.59 eV/atom.